Record 1
# PBE with a Hubbard U Li2MnCoO4, relaxed
data_Li2MnCoO4
_cell_length_a 5.060
_cell_length_b 5.134
_cell_length_c 5.953
_cell_angle_alpha 72.87
_cell_angle_beta 89.93
_cell_angle_gamma 80.62
_symmetry_space_group_name_H-M 'P -1'
_symmetry_Int_Tables_number 2
loop_
_symmetry_equiv_pos_as_xyz
'x,y,z'
'-x,-y,-z'
loop_
_atom_site_label
_atom_site_type_symbol
_atom_site_fract_x
_atom_site_fract_y
_atom_site_fract_z
Li1 Li 0.000 0.000 0.000
Li2 Li 0.000 0.000 0.500
Li3 Li 0.496 0.002 0.246
Mn1 Mn 0.249 0.501 0.374
Co1 Co 0.250 0.499 0.880
O1 O 0.108 0.275 0.665
O2 O 0.135 0.269 0.205
O3 O 0.363 0.736 0.086
O4 O 0.394 0.721 0.555
# Distance to the lowest polymorph of the same formula (eV/atom): 0.001
# Total DFT energy (no corrections) (eV/atom): -6.16
# Mass density (g cm⁻³): 4.37
# Formation energy from the elements (eV per atom): -1.935

Record 2
# PBE with a Hubbard U Li7Mn4CoO12, relaxed
data_Li7Mn4CoO12
_cell_length_a 2.977
_cell_length_b 7.815
_cell_length_c 10.186
_cell_angle_alpha 110.77
_cell_angle_beta 91.74
_cell_angle_gamma 96.79
_symmetry_space_group_name_H-M 'P 1'
_symmetry_Int_Tables_number 1
loop_
_symmetry_equiv_pos_as_xyz
'x,y,z'
loop_
_atom_site_label
_atom_site_type_symbol
_atom_site_fract_x
_atom_site_fract_y
_atom_site_fract_z
Li1 Li 0.000 0.000 0.000
Li2 Li 0.030 0.024 0.531
Li3 Li 0.337 0.679 0.351
Li4 Li 0.384 0.697 0.846
Li5 Li 0.513 0.011 0.765
Li6 Li 0.646 0.328 0.685
Li7 Li 0.687 0.347 0.184
Mn1 Mn 0.164 0.333 0.926
Mn2 Mn 0.518 0.018 0.269
Mn3 Mn 0.834 0.678 0.101
Mn4 Mn 0.861 0.688 0.604
Co1 Co 0.201 0.351 0.434
O1 O 0.104 0.194 0.738
O2 O 0.134 0.186 0.238
O3 O 0.220 0.510 0.130
O4 O 0.305 0.527 0.627
O5 O 0.402 0.823 0.563
O6 O 0.457 0.849 0.066
O7 O 0.579 0.186 0.469
O8 O 0.622 0.199 0.969
O9 O 0.719 0.495 0.903
O10 O 0.803 0.511 0.404
O11 O 0.893 0.846 0.301
O12 O 0.922 0.827 0.794
# Distance to the lowest polymorph of the same formula (eV/atom): 0.039
# Total DFT energy (no corrections) (eV/atom): -6.21
# Mass density (g cm⁻³): 3.93
# Formation energy from the elements (eV per atom): -2.045

Among the records above, which one has the lowest formation energy from the elements?
Li7Mn4CoO12